[1]
ZnCdTe2, optimized geometry, DFT PBE; density = 5.46 Mg/m³; size of the total moment = 0.0 μB/f.u.; ΔE_f = -0.653 eV per atom; total energy = -2.5592 eV per atom
1.0
2.267 1.309 7.400
-2.267 1.309 7.400
0.000 -2.617 7.400
Zn Cd Te
1 1 2
Cartesian
0.000 0.000 0.000
0.000 0.000 11.082
0.000 0.000 8.217
0.000 0.000 19.533

=====

[2]
Mg2Al2O5, optimized geometry, DFT PBE; density = 3.33 Mg/m³; size of the total moment = 0.0 μB/f.u.; ΔE_f = -2.907 eV per atom; total energy = -6.4619 eV per atom
1.0
3.601 0.000 0.000
0.000 3.601 0.000
0.000 0.000 7.010
Mg Al O
2 2 5
Cartesian
0.000 0.000 0.000
0.000 0.000 3.505
1.801 1.801 1.711
1.801 1.801 5.299
0.000 1.801 1.377
0.000 1.801 5.634
1.801 0.000 1.377
1.801 0.000 5.634
1.801 1.801 3.505

=====

[3]
CuP4Se3Cl, optimized geometry, DFT PBE; density = 3.26 Mg/m³; size of the total moment = 0.0 μB/f.u.; ΔE_f = -0.256 eV per atom; total energy = -4.4197 eV per atom
1.0
12.522 0.000 0.000
0.000 11.629 0.000
-1.256 0.000 6.434
Cu P Se Cl
4 16 12 4
Cartesian
-0.097 1.662 1.539
-0.725 4.153 4.756
11.990 7.476 1.678
11.362 9.967 4.895
1.534 6.615 1.301
0.906 10.829 4.519
1.439 0.490 2.775
0.811 5.325 5.992
1.563 7.466 6.097
2.191 9.978 2.880
4.120 0.380 4.962
4.748 5.434 1.745
6.518 6.195 4.689
7.146 11.249 1.472
9.074 1.652 3.555
9.702 4.163 0.337
10.455 6.304 0.442
9.827 11.139 3.659
10.360 0.800 1.916
9.732 5.015 5.133
2.935 6.029 2.975
2.307 11.414 6.192
3.147 1.790 3.471
3.775 4.025 0.254
4.930 7.311 0.453
4.302 10.132 3.670
6.964 1.497 2.764
6.336 4.318 5.981
7.491 7.605 6.180
8.119 9.839 2.963
8.959 0.215 0.242
8.331 5.600 3.459
-0.789 2.008 5.764
-0.161 3.806 2.546
11.427 7.823 3.888
12.055 9.621 0.671

=====

[4]
LiBH4, optimized geometry, DFT PBE; density = 0.16 Mg/m³; size of the total moment = 2.0 μB/f.u.; ΔE_f = 0.339 eV per atom; total energy = -3.2351 eV per atom
1.0
13.813 0.000 0.000
0.000 7.485 0.000
-0.655 0.000 8.661
Li B H
4 4 16
Cartesian
2.016 0.107 2.110
1.688 7.378 6.441
11.469 0.107 2.220
11.142 7.378 6.551
1.476 0.508 8.619
1.804 6.977 4.288
11.354 0.508 4.373
11.681 6.977 0.042
1.137 1.095 0.325
0.809 6.389 4.655
1.662 0.656 3.919
1.335 6.828 8.249
3.217 0.809 0.417
2.889 6.676 4.748
4.561 0.191 2.501
4.233 7.294 6.831
8.925 0.191 1.830
8.597 7.294 6.161
10.269 0.809 3.914
9.941 6.676 8.244
11.823 0.656 0.412
11.495 6.828 4.742
12.348 1.095 4.006
12.020 6.389 8.336

=====

[5]
UMo, optimized geometry, DFT PBE; density = 14.99 Mg/m³; size of the total moment = 0.0 μB/f.u.; ΔE_f = 0.250 eV per atom; total energy = -10.8182 eV per atom
1.0
5.238 0.000 0.000
0.000 2.916 0.000
-3.703 0.000 9.688
U Mo
4 4
Cartesian
-1.354 0.612 3.594
-3.205 0.846 8.438
4.740 2.071 1.250
2.888 2.304 6.094
0.287 1.910 6.061
2.139 2.464 1.217
-0.604 0.452 8.472
1.247 1.006 3.627

=====

[6]
ThSnRh, optimized geometry, DFT PBE; density = 10.95 Mg/m³; ΔE_f = -0.927 eV per atom; total energy = -7.1891 eV per atom
1.0
7.596 0.000 0.000
-3.798 6.579 0.000
0.000 0.000 4.131
Th Sn Rh
3 3 3
Cartesian
-2.237 3.874 0.000
1.562 2.705 0.000
4.473 0.000 0.000
-0.957 1.657 2.066
1.914 0.000 2.066
2.841 4.921 2.066
0.000 0.000 0.000
0.000 4.386 2.066
3.798 2.193 2.066

=====

[7]
Pr5NiSb2, optimized geometry, DFT PBE; density = 6.98 Mg/m³; size of the total moment = 0.1 μB/f.u.; ΔE_f = -0.755 eV per atom; total energy = -5.4499 eV per atom
1.0
12.689 0.000 0.000
0.000 9.095 0.000
0.000 0.000 8.306
Pr Ni Sb
20 4 8
Cartesian
0.016 2.274 0.328
0.852 4.865 2.664
0.852 8.778 2.664
2.510 2.274 5.330
2.638 6.821 5.515
3.706 2.274 1.361
3.835 6.821 1.177
5.493 0.317 6.817
5.493 4.230 6.817
6.328 6.821 4.481
6.360 2.274 3.825
7.196 4.865 1.489
7.196 8.778 1.489
8.854 2.274 7.129
8.983 6.821 6.945
10.050 2.274 2.792
10.179 6.821 2.976
11.837 0.317 5.642
11.837 4.230 5.642
12.673 6.821 7.978
0.121 2.274 3.534
6.223 6.821 7.687
6.465 2.274 0.619
12.568 6.821 4.772
2.226 0.048 7.802
2.226 4.500 7.802
4.119 4.595 3.649
4.119 9.047 3.649
8.570 0.048 4.658
8.570 4.500 4.658
10.463 4.595 0.505
10.463 9.047 0.505

=====

[8]
CsSmGeS4, optimized geometry, DFT PBE; density = 3.93 Mg/m³; size of the total moment = 0.0 μB/f.u.; ΔE_f = -1.564 eV per atom; total energy = -5.1025 eV per atom
1.0
6.591 0.000 0.000
0.000 6.861 0.000
0.000 0.000 18.086
Cs Sm Ge S
4 4 4 16
Cartesian
0.035 0.042 0.584
3.261 6.819 9.627
3.330 3.389 17.502
6.556 3.473 8.459
1.364 0.136 13.972
1.932 6.726 4.929
4.659 3.295 4.114
5.227 3.566 13.157
1.373 3.534 3.015
1.923 3.327 12.058
4.668 6.758 15.071
5.218 0.104 6.028
0.392 0.078 7.350
0.410 1.711 11.702
0.662 5.170 11.852
0.667 3.985 5.082
2.628 2.876 14.125
2.634 1.691 2.809
2.885 5.150 2.659
2.903 6.783 16.393
3.687 3.352 10.736
3.706 1.720 6.384
3.957 5.122 6.234
3.963 6.307 13.004
5.923 0.554 3.961
5.929 1.739 15.277
6.180 5.142 15.427
6.199 3.509 1.693

=====

[9]
Mg6Si7Ni16, optimized geometry, DFT PBE; density = 5.90 Mg/m³; ΔE_f = -0.547 eV per atom; total energy = -5.3763 eV per atom
1.0
0.000 5.648 5.648
5.648 0.000 5.648
5.648 5.648 0.000
Mg Si Ni
6 7 16
Cartesian
5.648 5.648 2.304
5.648 2.304 5.648
8.993 5.648 5.648
2.304 5.648 5.648
5.648 8.993 5.648
5.648 5.648 8.993
2.824 2.824 0.000
2.824 0.000 2.824
5.648 2.824 2.824
0.000 2.824 2.824
2.824 5.648 2.824
2.824 2.824 5.648
5.648 5.648 5.648
6.980 4.317 4.317
1.896 1.896 1.896
3.752 3.752 1.896
3.752 1.896 3.752
4.317 4.317 4.317
6.980 6.980 4.317
6.980 4.317 6.980
1.896 3.752 3.752
9.400 7.545 7.545
4.317 6.980 4.317
4.317 4.317 6.980
6.980 6.980 6.980
7.545 9.400 7.545
7.545 7.545 9.400
9.400 9.400 9.400
4.317 6.980 6.980

=====

[10]
Sn3P, optimized geometry, DFT PBE; density = 6.48 Mg/m³; size of the total moment = 0.0 μB/f.u.; ΔE_f = 0.284 eV per atom; total energy = -4.0762 eV per atom
1.0
0.000 3.674 3.674
3.674 0.000 3.674
3.674 3.674 0.000
Sn P
3 1
Cartesian
0.000 0.000 0.000
1.837 1.837 1.837
5.510 5.510 5.510
3.674 3.674 3.674

=====

[11]
Sm2CdPd2, optimized geometry, DFT PBE; density = 8.86 Mg/m³; ΔE_f = -0.765 eV per atom; total energy = -4.9090 eV per atom
1.0
7.787 0.000 0.000
0.000 7.787 0.000
0.000 0.000 3.871
Sm Cd Pd
4 2 4
Cartesian
1.350 2.544 0.000
2.544 6.437 0.000
5.243 1.350 0.000
6.437 5.243 0.000
0.000 0.000 1.935
3.894 3.894 1.935
0.997 4.890 1.935
2.897 0.997 1.935
4.890 6.790 1.935
6.790 2.897 1.935

=====

[12]
Ta2CdO6, optimized geometry, DFT PBE; density = 8.13 Mg/m³; ΔE_f = -2.949 eV per atom; total energy = -8.5268 eV per atom
1.0
14.986 0.000 0.000
0.000 6.003 0.000
0.000 0.000 5.182
Ta Cd O
8 4 24
Cartesian
2.490 1.043 1.253
2.490 4.960 3.844
5.003 1.959 3.844
5.003 4.044 1.253
9.984 1.959 3.928
9.984 4.044 1.337
12.496 1.043 1.337
12.496 4.960 3.928
0.000 1.908 3.886
0.000 4.094 1.295
7.493 1.093 1.295
7.493 4.910 3.886
1.299 2.254 0.589
1.299 3.748 3.179
1.580 0.548 2.909
1.580 5.454 0.318
3.680 0.796 4.764
3.680 5.207 2.173
3.814 2.206 2.173
3.814 3.797 4.764
5.913 2.453 0.318
5.913 3.550 2.909
6.194 0.747 3.179
6.194 5.255 0.589
8.793 0.747 4.593
8.793 5.255 2.002
9.073 2.453 2.273
9.073 3.550 4.864
11.173 2.206 0.417
11.173 3.797 3.008
11.307 0.796 3.008
11.307 5.207 0.417
13.407 0.548 4.864
13.407 5.454 2.273
13.687 2.254 2.002
13.687 3.748 4.593

=====

[13]
Sr2B5ClO9, optimized geometry, DFT PBE; density = 3.13 Mg/m³; size of the total moment = 0.0 μB/f.u.; ΔE_f = -3.036 eV per atom; total energy = -7.5641 eV per atom
1.0
11.454 0.000 0.000
0.000 11.540 0.000
0.000 0.000 6.567
Sr B Cl O
8 20 4 36
Cartesian
0.505 2.857 0.000
2.766 5.464 2.204
2.961 11.234 5.487
5.222 8.627 3.283
6.232 2.913 3.283
8.493 0.306 5.487
8.688 6.076 2.204
10.950 8.684 0.000
0.075 8.648 3.075
2.044 8.383 4.560
2.356 9.370 2.247
2.464 2.385 3.442
2.690 0.413 1.986
3.037 6.183 5.270
3.263 8.155 0.158
3.371 3.600 5.530
3.683 2.613 1.276
5.652 2.878 6.358
5.802 8.662 6.358
7.771 8.928 1.276
8.083 7.940 5.530
8.191 3.385 0.158
8.417 5.357 5.270
8.764 11.127 1.986
8.990 9.156 3.442
9.098 2.170 2.247
9.410 3.158 4.560
11.379 2.892 3.075
0.000 0.000 5.895
0.000 5.770 0.938
5.727 0.000 4.221
5.727 5.770 2.611
0.576 8.293 4.298
0.896 9.090 2.063
1.263 3.036 2.780
2.127 8.721 5.982
2.385 0.887 3.235
2.543 2.553 4.887
2.679 7.067 4.253
2.679 9.407 3.695
2.680 10.649 1.591
3.048 1.297 0.969
3.048 3.637 0.412
3.047 4.879 4.874
3.184 8.324 1.603
3.342 6.657 6.519
3.600 2.951 2.698
4.464 8.806 6.064
4.831 3.320 5.347
5.152 2.523 1.014
6.303 9.017 1.014
6.623 8.220 5.347
6.990 2.734 6.064
7.854 8.589 2.698
8.112 4.883 6.519
8.270 3.217 1.603
8.407 6.662 4.874
8.407 7.903 0.412
8.406 10.244 0.969
8.774 0.892 1.591
8.775 2.133 3.695
8.775 4.474 4.253
8.912 8.987 4.887
9.069 10.654 3.235
9.328 2.819 5.982
10.192 8.504 2.780
10.558 2.450 2.063
10.879 3.247 4.298

=====

[14]
Ni4Ru, optimized geometry, DFT PBE; density = 9.71 Mg/m³; size of the total moment = 1.7 μB/f.u.; ΔE_f = 0.105 eV per atom; total energy = -6.3744 eV per atom
1.0
1.279 0.739 10.130
-1.279 0.739 10.130
0.000 -1.477 10.130
Ni Ru
4 1
Cartesian
0.000 0.000 2.990
0.000 0.000 9.133
0.000 0.000 21.257
0.000 0.000 27.399
0.000 0.000 15.195